No. 1
Here is a relaxed structure of Hg from the Materials Project. Energies are from r²SCAN.

Unit cell a=3.6722 b=3.6722 c=6.7849 alpha=90.00 beta=90.00 gamma=120.00
Space group R-3m (No. 166, hexagonal axes)
Unique sites:
Hg 0.0000 0.0000 0.0000

DFT formation energy in meV/atom: 17
Magnetization in μB per atom: 0.00
ΔE to the lowest computed polymorph in meV/atom: 17
Electronic total energy in eV per atom: -49.351


No. 2
Here is a relaxed structure of H from the Materials Project. Energies are from r²SCAN.

Unit cell a=3.910 b=3.910 c=3.808 alpha=90.00 beta=90.00 gamma=90.00
Space group I4/mmm (No. 139)
Unique sites:
H 0.000 0.000 0.097

DFT formation energy in meV/atom: 3
Magnetization in μB per atom: 0.00
ΔE to the lowest computed polymorph in meV/atom: 3
Electronic total energy in eV per atom: -3.453


No. 3
Here is a relaxed structure of ThCu2Sn2 from the Materials Project. Energies are from r²SCAN.

Unit cell a=4.439 b=4.439 c=10.559 alpha=90.00 beta=90.00 gamma=90.00
Space group P4/nmm (No. 129, origin choice 2)
Unique sites:
Th 0.250 0.250 0.240
Cu 0.250 0.250 0.636
Cu 0.250 0.750 0.000
Sn 0.250 0.250 0.872
Sn 0.250 0.750 0.500

DFT formation energy in meV/atom: -367
Magnetization in μB per atom: 0.00
Electronic total energy in eV per atom: -29.299


No. 4
Here is a relaxed structure of YNiGe3 from the Materials Project. Energies are from r²SCAN.

Unit cell a=4.066 b=21.508 c=4.088 alpha=90.00 beta=90.00 gamma=90.00
Space group Cmmm (No. 65)
Unique sites:
Y 0.000 0.169 0.000
Ni 0.000 0.390 0.500
Ge 0.000 0.057 0.500
Ge 0.000 0.284 0.500
Ge 0.000 0.443 0.000

DFT formation energy in meV/atom: -607
Magnetization in μB per atom: 0.00
Electronic total energy in eV per atom: -15.389


No. 5
Here is a relaxed structure of TbInCu2 from the Materials Project. Energies are from r²SCAN.

Unit cell a=6.596 b=6.596 c=6.596 alpha=90.00 beta=90.00 gamma=90.00
Space group Fm-3m (No. 225)
Unique sites:
Tb 0.000 0.000 0.000
In 0.000 0.000 0.500
Cu 0.250 0.250 0.250

DFT formation energy in meV/atom: -378
Magnetization in μB per atom: 0.00
Electronic total energy in eV per atom: -19.253


No. 6
Here is a relaxed structure of SnCl2 from the Materials Project. Energies are from r²SCAN.

Unit cell a=8.064 b=4.290 c=9.623 alpha=90.00 beta=90.00 gamma=90.00
Space group Pnma (No. 62)
Unique sites:
Sn 0.227 0.250 0.063
Cl 0.022 0.250 0.853
Cl 0.144 0.250 0.421

DFT formation energy in meV/atom: -1055
Magnetization in μB per atom: 0.00
Electronic total energy in eV per atom: -13.405


No. 7
Here is a relaxed structure of TbGaCo from the Materials Project. Energies are from r²SCAN.

Unit cell a=6.699 b=4.132 c=7.548 alpha=90.00 beta=90.00 gamma=90.00
Space group Pnma (No. 62)
Unique sites:
Tb 0.025 0.250 0.186
Ga 0.155 0.250 0.564
Co 0.223 0.750 0.382

DFT formation energy in meV/atom: -406
Magnetization in μB per atom: 0.13
Electronic total energy in eV per atom: -19.041


No. 8
Here is a relaxed structure of TbAl4Ni from the Materials Project. Energies are from r²SCAN.

Unit cell a=4.052 b=15.382 c=6.548 alpha=90.00 beta=90.00 gamma=90.00
Space group Cmcm (No. 63)
Unique sites:
Tb 0.000 0.117 0.250
Al 0.000 0.077 0.750
Al 0.000 0.310 0.053
Al 0.000 0.500 0.000
Ni 0.000 0.226 0.750

DFT formation energy in meV/atom: -595
Magnetization in μB per atom: 0.00
Electronic total energy in eV per atom: -12.284